# 1
The following is a DFT calculation (PBE) of Ba2Ti4O13 after structural relaxation.

Cell lengths 7.553, 7.553, 9.752 Å; angles 98.45, 98.45, 30.10 degrees
Positions (direct):
Ba: 0.076 0.076 0.261
Ba: 0.924 0.924 0.739
Ti: 0.331 0.331 0.072
Ti: 0.369 0.369 0.381
Ti: 0.631 0.631 0.619
Ti: 0.669 0.669 0.928
O: 0.118 0.118 0.608
O: 0.194 0.194 0.952
O: 0.263 0.263 0.251
O: 0.344 0.344 0.565
O: 0.386 0.386 0.919
O: 0.435 0.435 0.212
O: 0.500 0.500 0.500
O: 0.565 0.565 0.788
O: 0.614 0.614 0.081
O: 0.656 0.656 0.435
O: 0.737 0.737 0.749
O: 0.806 0.806 0.048
O: 0.882 0.882 0.392

# 2
The following is a DFT calculation (PBE) of Ba2TiO4 after structural relaxation.

Cell lengths 23.329, 10.693, 6.209 Å; angles 90.00, 90.00, 90.00 degrees
Positions (direct):
Ba: 0.002 0.200 0.451
Ba: 0.055 0.572 0.453
Ba: 0.110 0.078 0.975
Ba: 0.164 0.701 0.000
Ba: 0.170 0.302 0.486
Ba: 0.220 0.927 0.498
Ba: 0.280 0.427 0.998
Ba: 0.330 0.802 0.986
Ba: 0.336 0.201 0.500
Ba: 0.390 0.578 0.475
Ba: 0.445 0.072 0.953
Ba: 0.498 0.700 0.951
Ba: 0.502 0.300 0.451
Ba: 0.555 0.928 0.453
Ba: 0.610 0.422 0.975
Ba: 0.664 0.799 0.000
Ba: 0.670 0.198 0.486
Ba: 0.720 0.573 0.498
Ba: 0.780 0.073 0.998
Ba: 0.830 0.698 0.986
Ba: 0.836 0.299 0.500
Ba: 0.890 0.922 0.475
Ba: 0.945 0.428 0.953
Ba: 0.998 0.800 0.951
Ti: 0.073 0.914 0.483
Ti: 0.095 0.414 0.958
Ti: 0.240 0.587 0.490
Ti: 0.260 0.087 0.990
Ti: 0.405 0.914 0.458
Ti: 0.427 0.414 0.983
Ti: 0.573 0.586 0.483
Ti: 0.595 0.086 0.958
Ti: 0.740 0.913 0.490
Ti: 0.760 0.413 0.990
Ti: 0.905 0.586 0.458
Ti: 0.927 0.086 0.983
O: 0.002 0.054 0.055
O: 0.055 0.563 0.919
O: 0.074 0.302 0.750
O: 0.075 0.352 0.224
O: 0.081 0.797 0.269
O: 0.106 0.859 0.733
O: 0.110 0.061 0.411
O: 0.165 0.561 0.430
O: 0.171 0.445 0.929
O: 0.223 0.939 0.058
O: 0.227 0.140 0.736
O: 0.249 0.205 0.201
O: 0.251 0.705 0.701
O: 0.273 0.640 0.236
O: 0.277 0.439 0.558
O: 0.329 0.945 0.429
O: 0.335 0.061 0.930
O: 0.390 0.561 0.911
O: 0.394 0.359 0.233
O: 0.419 0.297 0.769
O: 0.425 0.852 0.724
O: 0.426 0.802 0.250
O: 0.445 0.063 0.419
O: 0.498 0.554 0.555
O: 0.502 0.446 0.055
O: 0.555 0.937 0.919
O: 0.574 0.198 0.750
O: 0.575 0.148 0.224
O: 0.581 0.703 0.269
O: 0.606 0.641 0.733
O: 0.610 0.439 0.411
O: 0.665 0.939 0.430
O: 0.671 0.055 0.929
O: 0.723 0.561 0.058
O: 0.727 0.360 0.736
O: 0.749 0.295 0.201
O: 0.751 0.795 0.701
O: 0.773 0.860 0.236
O: 0.777 0.061 0.558
O: 0.829 0.555 0.429
O: 0.835 0.439 0.930
O: 0.890 0.939 0.911
O: 0.894 0.141 0.233
O: 0.919 0.203 0.769
O: 0.925 0.648 0.724
O: 0.926 0.698 0.250
O: 0.945 0.437 0.419
O: 0.998 0.946 0.555

# 3
The following is a DFT calculation (PBE) of BaTi6O11 after structural relaxation.

Cell lengths 7.737, 7.737, 14.298 Å; angles 90.00, 90.00, 81.52 degrees
Positions (direct):
Ba: 0.081 0.919 0.500
Ba: 0.404 0.596 0.671
Ba: 0.596 0.404 0.171
Ba: 0.919 0.081 0.000
Ti: 0.007 0.498 0.573
Ti: 0.048 0.701 0.258
Ti: 0.158 0.311 0.224
Ti: 0.179 0.325 0.424
Ti: 0.195 0.555 0.900
Ti: 0.258 0.742 0.072
Ti: 0.299 0.952 0.258
Ti: 0.311 0.158 0.724
Ti: 0.325 0.179 0.924
Ti: 0.420 0.580 0.414
Ti: 0.445 0.805 0.900
Ti: 0.498 0.007 0.073
Ti: 0.502 0.993 0.573
Ti: 0.555 0.195 0.400
Ti: 0.580 0.420 0.914
Ti: 0.675 0.821 0.424
Ti: 0.689 0.842 0.224
Ti: 0.701 0.048 0.758
Ti: 0.742 0.258 0.572
Ti: 0.805 0.445 0.400
Ti: 0.821 0.675 0.924
Ti: 0.842 0.689 0.724
Ti: 0.952 0.299 0.758
Ti: 0.993 0.502 0.073
O: 0.025 0.473 0.325
O: 0.030 0.707 0.651
O: 0.037 0.717 0.996
O: 0.120 0.880 0.175
O: 0.129 0.157 0.825
O: 0.148 0.343 0.668
O: 0.153 0.355 0.987
O: 0.157 0.129 0.325
O: 0.206 0.530 0.160
O: 0.218 0.536 0.498
O: 0.251 0.749 0.333
O: 0.262 0.738 0.831
O: 0.283 0.963 0.996
O: 0.293 0.970 0.651
O: 0.343 0.148 0.168
O: 0.355 0.153 0.487
O: 0.371 0.375 0.833
O: 0.375 0.371 0.333
O: 0.415 0.585 0.987
O: 0.464 0.782 0.498
O: 0.470 0.794 0.160
O: 0.473 0.025 0.825
O: 0.527 0.975 0.325
O: 0.530 0.206 0.660
O: 0.536 0.218 0.998
O: 0.585 0.415 0.487
O: 0.625 0.629 0.833
O: 0.629 0.625 0.333
O: 0.645 0.847 0.987
O: 0.657 0.852 0.668
O: 0.707 0.030 0.151
O: 0.717 0.037 0.496
O: 0.738 0.262 0.331
O: 0.749 0.251 0.833
O: 0.782 0.464 0.998
O: 0.794 0.470 0.660
O: 0.843 0.871 0.825
O: 0.847 0.645 0.487
O: 0.852 0.657 0.168
O: 0.871 0.843 0.325
O: 0.880 0.120 0.675
O: 0.963 0.283 0.496
O: 0.970 0.293 0.151
O: 0.975 0.527 0.825

# 4
The following is a DFT calculation (PBE) of Ba2TiO4 after structural relaxation.

Cell lengths 3.982, 3.982, 8.788 Å; angles 90.00, 90.00, 90.00 degrees
Positions (direct):
Ba: 0.000 0.000 0.226
Ba: 0.000 0.000 0.774
Ti: 0.500 0.500 0.000
O: 0.000 0.500 0.000
O: 0.500 0.000 0.000
O: 0.500 0.500 0.227
O: 0.500 0.500 0.773

# 5
The following is a DFT calculation (PBE) of Ba4Ti12O27 after structural relaxation.

Cell lengths 11.569, 11.569, 10.036 Å; angles 106.36, 106.36, 59.86 degrees
Positions (direct):
Ba: 0.161 0.710 0.785
Ba: 0.290 0.839 0.215
Ba: 0.295 0.295 0.874
Ba: 0.424 0.424 0.289
Ba: 0.576 0.576 0.711
Ba: 0.705 0.705 0.126
Ba: 0.710 0.161 0.785
Ba: 0.839 0.290 0.215
Ti: 0.000 0.000 0.500
Ti: 0.000 0.500 0.500
Ti: 0.009 0.730 0.341
Ti: 0.113 0.113 0.922
Ti: 0.113 0.380 0.214
Ti: 0.137 0.620 0.078
Ti: 0.236 0.236 0.483
Ti: 0.270 0.730 0.500
Ti: 0.270 0.991 0.659
Ti: 0.380 0.113 0.214
Ti: 0.380 0.863 0.922
Ti: 0.389 0.389 0.611
Ti: 0.500 0.000 0.500
Ti: 0.500 0.500 0.000
Ti: 0.611 0.611 0.389
Ti: 0.620 0.137 0.078
Ti: 0.620 0.887 0.786
Ti: 0.730 0.009 0.341
Ti: 0.730 0.270 0.500
Ti: 0.764 0.764 0.517
Ti: 0.863 0.380 0.922
Ti: 0.887 0.620 0.786
Ti: 0.887 0.887 0.078
Ti: 0.991 0.270 0.659
O: 0.048 0.556 0.361
O: 0.050 0.293 0.858
O: 0.059 0.323 0.369
O: 0.067 0.067 0.694
O: 0.067 0.577 0.887
O: 0.067 0.810 0.057
O: 0.072 0.811 0.531
O: 0.178 0.447 0.124
O: 0.184 0.184 0.615
O: 0.186 0.186 0.111
O: 0.187 0.680 0.301
O: 0.189 0.928 0.469
O: 0.190 0.933 0.943
O: 0.195 0.424 0.596
O: 0.293 0.050 0.858
O: 0.295 0.295 0.344
O: 0.315 0.565 0.052
O: 0.320 0.813 0.699
O: 0.323 0.059 0.369
O: 0.326 0.563 0.560
O: 0.423 0.933 0.113
O: 0.424 0.195 0.596
O: 0.431 0.431 0.800
O: 0.435 0.685 0.948
O: 0.437 0.674 0.440
O: 0.444 0.952 0.639
O: 0.447 0.178 0.124
O: 0.553 0.822 0.876
O: 0.556 0.048 0.361
O: 0.563 0.326 0.560
O: 0.565 0.315 0.052
O: 0.569 0.569 0.200
O: 0.576 0.805 0.404
O: 0.577 0.067 0.887
O: 0.674 0.437 0.440
O: 0.677 0.941 0.631
O: 0.680 0.187 0.301
O: 0.685 0.435 0.948
O: 0.705 0.705 0.656
O: 0.707 0.950 0.142
O: 0.805 0.576 0.404
O: 0.810 0.067 0.057
O: 0.811 0.072 0.531
O: 0.813 0.320 0.699
O: 0.814 0.814 0.889
O: 0.816 0.816 0.385
O: 0.822 0.553 0.876
O: 0.928 0.189 0.469
O: 0.933 0.190 0.943
O: 0.933 0.423 0.113
O: 0.933 0.933 0.306
O: 0.941 0.677 0.631
O: 0.950 0.707 0.142
O: 0.952 0.444 0.639

# 6
The following is a DFT calculation (PBE) of Ba4Ti11O26 after structural relaxation.

Cell lengths 10.028, 10.028, 16.621 Å; angles 112.23, 112.23, 46.18 degrees
Positions (direct):
Ba: 0.093 0.611 0.940
Ba: 0.115 0.115 0.455
Ba: 0.384 0.384 0.551
Ba: 0.389 0.907 0.060
Ba: 0.611 0.093 0.940
Ba: 0.616 0.616 0.449
Ba: 0.885 0.885 0.545
Ba: 0.907 0.389 0.060
Ti: 0.002 0.475 0.377
Ti: 0.018 0.018 0.121
Ti: 0.136 0.136 0.832
Ti: 0.137 0.622 0.327
Ti: 0.235 0.735 0.738
Ti: 0.265 0.265 0.755
Ti: 0.265 0.765 0.262
Ti: 0.360 0.360 0.168
Ti: 0.378 0.863 0.673
Ti: 0.475 0.002 0.377
Ti: 0.491 0.491 0.882
Ti: 0.509 0.509 0.118
Ti: 0.525 0.998 0.623
Ti: 0.622 0.137 0.327
Ti: 0.640 0.640 0.832
Ti: 0.735 0.235 0.738
Ti: 0.735 0.735 0.245
Ti: 0.765 0.265 0.262
Ti: 0.863 0.378 0.673
Ti: 0.864 0.864 0.168
Ti: 0.982 0.982 0.879
Ti: 0.998 0.525 0.623
O: 0.000 0.000 0.000
O: 0.000 0.500 0.500
O: 0.002 0.002 0.761
O: 0.004 0.484 0.732
O: 0.118 0.118 0.929
O: 0.119 0.607 0.429
O: 0.120 0.120 0.159
O: 0.123 0.633 0.669
O: 0.135 0.135 0.700
O: 0.135 0.635 0.200
O: 0.237 0.748 0.366
O: 0.240 0.240 0.384
O: 0.243 0.736 0.861
O: 0.244 0.244 0.866
O: 0.252 0.763 0.634
O: 0.258 0.258 0.106
O: 0.264 0.264 0.633
O: 0.264 0.757 0.139
O: 0.365 0.865 0.800
O: 0.367 0.877 0.331
O: 0.372 0.372 0.830
O: 0.373 0.373 0.299
O: 0.393 0.881 0.571
O: 0.394 0.394 0.075
O: 0.484 0.004 0.732
O: 0.496 0.496 0.756
O: 0.500 0.000 0.500
O: 0.500 0.500 0.000
O: 0.504 0.504 0.244
O: 0.516 0.996 0.268
O: 0.606 0.606 0.925
O: 0.607 0.119 0.429
O: 0.627 0.627 0.701
O: 0.628 0.628 0.170
O: 0.633 0.123 0.669
O: 0.635 0.135 0.200
O: 0.736 0.243 0.861
O: 0.736 0.736 0.367
O: 0.742 0.742 0.894
O: 0.748 0.237 0.366
O: 0.756 0.756 0.134
O: 0.757 0.264 0.139
O: 0.760 0.760 0.616
O: 0.763 0.252 0.634
O: 0.865 0.365 0.800
O: 0.865 0.865 0.300
O: 0.877 0.367 0.331
O: 0.880 0.880 0.841
O: 0.881 0.393 0.571
O: 0.882 0.882 0.071
O: 0.996 0.516 0.268
O: 0.998 0.998 0.239

relative energy among the computed polymorphs = 0.005 eV/atom

Energy of formation (eV per atom)
-2.6829, -3.3977, -3.4028, -3.2392, -3.5060, -3.5009
Size of the total moment (μB per atom)
0.0003, 0.0000, 0.0000, 0.0001, 0.0465, 0.0002
VASP energy (eV per cell)
-141.8, -630.7, -629.6, -51.5, -736.5, -697.7